# GGA-PBE Nb3B4, optimized geometry
# * density: 7.190 Mg/m³
# * crystal system: orthorhombic
# * formation energy from the elements: -0.77 eV per atom
data_Nb3B4
_symmetry_space_group_name_H-M 'I m m m'
_symmetry_Int_Tables_number 71
_symmetry_space_group_name_Hall '-I 2 2'
_cell_length_a 3.157
_cell_length_b 3.324
_cell_length_c 14.169
_cell_angle_alpha 90.00
_cell_angle_beta 90.00
_cell_angle_gamma 90.00
loop_
_atom_site_label
_atom_site_type_symbol
_atom_site_fract_x
_atom_site_fract_y
_atom_site_fract_z
Nb1 Nb 0.000 0.000 0.000
Nb2 Nb 0.000 0.500 0.315
B1 B 0.000 0.000 0.436
B2 B 0.000 0.500 0.132